(1)
MgFeSiO5: optimized geometry, GGA+U.

Structure (CIF):
```
data_MgFeSiO5
_space_group_name_H-M_alt 'P 1'
_space_group_IT_number 1
_cell_length_a 5.338
_cell_length_b 5.357
_cell_length_c 6.899
_cell_angle_alpha 104.68
_cell_angle_beta 104.57
_cell_angle_gamma 105.82
loop_
_space_group_symop_operation_xyz
'x,y,z'
loop_
_atom_site_label
_atom_site_type_symbol
_atom_site_fract_x
_atom_site_fract_y
_atom_site_fract_z
Mg1 Mg 0.000 0.000 0.000
Mg2 Mg 0.352 0.653 0.501
Fe1 Fe 0.671 0.323 0.744
Fe2 Fe 0.672 0.322 0.244
Si1 Si 0.343 0.650 0.994
Si2 Si 0.998 0.993 0.494
O1 O 0.003 0.208 0.363
O2 O 0.036 0.599 0.830
O3 O 0.306 0.048 0.661
O4 O 0.340 0.431 0.122
O5 O 0.392 0.958 0.157
O6 O 0.564 0.658 0.866
O7 O 0.583 0.406 0.494
O8 O 0.759 0.238 0.994
O9 O 0.775 0.987 0.620
O10 O 0.954 0.685 0.334
```

Properties
Crystal system: triclinic

---

(2)
MgFe4Si2Sn7O16: optimized geometry, GGA+U.

Structure (CIF):
```
data_MgFe4Si2Sn7O16
_space_group_name_H-M_alt 'P -1'
_space_group_IT_number 2
_cell_length_a 7.031
_cell_length_b 7.038
_cell_length_c 10.028
_cell_angle_alpha 89.85
_cell_angle_beta 89.90
_cell_angle_gamma 60.18
loop_
_space_group_symop_operation_xyz
'x,y,z'
'-x,-y,-z'
loop_
_atom_site_label
_atom_site_type_symbol
_atom_site_fract_x
_atom_site_fract_y
_atom_site_fract_z
Mg1 Mg 0.000 0.000 0.000
Fe1 Fe 0.000 0.000 0.500
Fe2 Fe 0.000 0.500 0.500
Fe3 Fe 0.500 0.000 0.000
Fe4 Fe 0.500 0.500 0.500
Si1 Si 0.168 0.662 0.254
Sn1 Sn 0.181 0.181 0.191
Sn2 Sn 0.331 0.338 0.824
Sn3 Sn 0.362 0.820 0.808
Sn4 Sn 0.500 0.000 0.500
O1 O 0.041 0.532 0.207
O2 O 0.049 0.904 0.187
O3 O 0.157 0.686 0.860
O4 O 0.160 0.675 0.419
O5 O 0.186 0.160 0.400
O6 O 0.343 0.842 0.600
O7 O 0.349 0.307 0.609
O8 O 0.428 0.530 0.210
```

Properties
Crystal system: triclinic

---

(3)
MgFe4Si2Sn7O16: optimized geometry, GGA+U.

Structure (CIF):
```
data_MgFe4Si2Sn7O16
_space_group_name_H-M_alt 'P 1'
_space_group_IT_number 1
_cell_length_a 6.937
_cell_length_b 6.953
_cell_length_c 10.635
_cell_angle_alpha 89.27
_cell_angle_beta 89.91
_cell_angle_gamma 60.12
loop_
_space_group_symop_operation_xyz
'x,y,z'
loop_
_atom_site_label
_atom_site_type_symbol
_atom_site_fract_x
_atom_site_fract_y
_atom_site_fract_z
Mg1 Mg 0.000 0.000 0.000
Fe1 Fe 0.251 0.501 0.530
Fe2 Fe 0.254 0.002 0.535
Fe3 Fe 0.748 0.002 0.535
Fe4 Fe 0.760 0.483 0.034
Si1 Si 0.092 0.816 0.774
Si2 Si 0.415 0.176 0.298
Sn1 Sn 0.082 0.337 0.829
Sn2 Sn 0.423 0.672 0.231
Sn3 Sn 0.584 0.339 0.829
Sn4 Sn 0.595 0.812 0.840
Sn5 Sn 0.750 0.504 0.535
Sn6 Sn 0.906 0.195 0.249
Sn7 Sn 0.910 0.670 0.231
O1 O 0.068 0.340 0.630
O2 O 0.077 0.852 0.170
O3 O 0.082 0.835 0.621
O4 O 0.213 0.937 0.848
O5 O 0.223 0.558 0.820
O6 O 0.283 0.049 0.250
O7 O 0.283 0.439 0.253
O8 O 0.418 0.171 0.455
O9 O 0.426 0.151 0.844
O10 O 0.432 0.667 0.436
O11 O 0.596 0.341 0.630
O12 O 0.597 0.809 0.638
O13 O 0.673 0.050 0.249
O14 O 0.853 0.933 0.849
O15 O 0.905 0.666 0.435
O16 O 0.915 0.176 0.445
```

Properties
Crystal system: triclinic

---

no.,calculated total energy (eV/atom)
1,-6.7331
2,-6.3093
3,-6.3122